A relaxed structure of Dy2Ga8Co. Source: the Materials Project, functional PBE.

Cell and atoms, written as POSCAR:
```
Dy2Ga8Co
1.0
4.255 0.000 0.000
0.000 4.255 0.000
0.000 0.000 11.079
Dy Ga Co
2 8 1
Cartesian
0.000 0.000 7.699 Dy
0.000 0.000 3.380 Dy
2.127 0.000 9.795 Ga
0.000 2.127 9.795 Ga
2.127 0.000 1.284 Ga
0.000 2.127 1.284 Ga
2.127 0.000 5.540 Ga
0.000 2.127 5.540 Ga
2.127 2.127 7.728 Ga
2.127 2.127 3.352 Ga
0.000 0.000 0.000 Co
```

Summary:
Energy relative to the elements   -5.4 eV/f.u.
Crystal system   tetragonal
Total energy   -45.92 eV per cell